Entry a
# PBE Na2CuP2O7, relaxed
data_Na2CuP2O7
_chemical_formula_sum 'Na8 Cu4 P8 O28'
_symmetry_space_group_name_H-M 'P 1 21/c 1'
_symmetry_Int_Tables_number 14
_symmetry_space_group_name_Hall '-P 2ybc'
_cell_length_a 5.1419
_cell_length_b 13.7201
_cell_length_c 10.1181
_cell_angle_alpha 90.00
_cell_angle_beta 117.52
_cell_angle_gamma 90.00
loop_
_atom_site_label
_atom_site_type_symbol
_atom_site_fract_x
_atom_site_fract_y
_atom_site_fract_z
Na1 Na 0.0820 0.1108 0.3670
Na2 Na 0.4178 0.2083 0.1529
Cu1 Cu 0.0562 0.1559 0.7609
P1 P 0.2736 0.6794 0.5446
P2 P 0.4786 0.5371 0.7713
O1 O 0.0690 0.6848 0.3793
O2 O 0.1474 0.7257 0.6426
O3 O 0.2381 0.5514 0.8213
O4 O 0.2719 0.1137 0.6503
O5 O 0.3274 0.5650 0.5926
O6 O 0.4185 0.5665 0.2153
O7 O 0.4199 0.2230 0.9145
# Magnetization in μB/f.u.: 1.00



Entry b
# PBE Na2CuP2O7, relaxed
data_Na2CuP2O7
_chemical_formula_sum 'Na8 Cu4 P8 O28'
_symmetry_space_group_name_H-M 'C 1 2/c 1'
_symmetry_Int_Tables_number 15
_symmetry_space_group_name_Hall '-C 2yc'
_cell_length_a 14.8398
_cell_length_b 5.8384
_cell_length_c 8.1330
_cell_angle_alpha 90.00
_cell_angle_beta 114.86
_cell_angle_gamma 90.00
loop_
_atom_site_label
_atom_site_type_symbol
_atom_site_fract_x
_atom_site_fract_y
_atom_site_fract_z
Na1 Na 0.2282 0.1419 0.2995
Cu1 Cu 0.0000 0.0000 0.0000
P1 P 0.1048 0.3381 0.8438
O1 O 0.0000 0.4765 0.7500
O2 O 0.1020 0.2120 0.0085
O3 O 0.1091 0.1677 0.7003
O4 O 0.1876 0.4878 0.3984
# Magnetization in μB/f.u.: 1.00



Entry c
# PBE Na2CuP2O7, relaxed
data_Na2CuP2O7
_chemical_formula_sum 'Na8 Cu4 P8 O28'
_symmetry_space_group_name_H-M 'C 1 2/c 1'
_symmetry_Int_Tables_number 15
_symmetry_space_group_name_Hall '-C 2yc'
_cell_length_a 16.8954
_cell_length_b 5.1603
_cell_length_c 9.0065
_cell_angle_alpha 90.00
_cell_angle_beta 114.93
_cell_angle_gamma 90.00
loop_
_atom_site_label
_atom_site_type_symbol
_atom_site_fract_x
_atom_site_fract_y
_atom_site_fract_z
Na1 Na 0.1929 0.1380 0.0676
Cu1 Cu 0.0000 0.0000 0.0000
P1 P 0.0920 0.3546 0.3121
O1 O 0.0000 0.4848 0.7500
O2 O 0.0912 0.1633 0.4428
O3 O 0.0915 0.2121 0.1598
O4 O 0.1662 0.4523 0.8777
# Magnetization in μB/f.u.: 1.00



Energetically preferred structure: entry b | next structure: +0.8 kJ/mol of atoms



Entry a
# PBE NaCuP3O9, relaxed
data_NaCuP3O9
_chemical_formula_sum 'Na4 Cu4 P12 O36'
_symmetry_space_group_name_H-M 'P -1'
_symmetry_Int_Tables_number 2
_symmetry_space_group_name_Hall '-P 1'
_cell_length_a 9.7118
_cell_length_b 9.7265
_cell_length_c 9.7876
_cell_angle_alpha 106.83
_cell_angle_beta 105.58
_cell_angle_gamma 111.87
loop_
_atom_site_label
_atom_site_type_symbol
_atom_site_fract_x
_atom_site_fract_y
_atom_site_fract_z
Na1 Na 0.0664 0.1558 0.4937
Na2 Na 0.1717 0.8800 0.3146
Cu1 Cu 0.2320 0.2460 0.2759
Cu2 Cu 0.2941 0.6025 0.2128
P1 P 0.0835 0.6836 0.9188
P2 P 0.1489 0.0103 0.9017
P3 P 0.2180 0.4600 0.8464
P4 P 0.3433 0.0753 0.7100
P5 P 0.3990 0.5161 0.6481
P6 P 0.4318 0.8108 0.5908
O1 O 0.0153 0.0606 0.2368
O2 O 0.0814 0.2981 0.7194
O3 O 0.0961 0.4043 0.1939
O4 O 0.1308 0.7012 0.0841
O5 O 0.1742 0.8618 0.9193
O6 O 0.1791 0.1339 0.0540
O7 O 0.1788 0.6061 0.8390
O8 O 0.1929 0.0114 0.5647
O9 O 0.2713 0.3580 0.5029
O10 O 0.2774 0.4733 0.0105
O11 O 0.2981 0.0990 0.8606
O12 O 0.3212 0.7543 0.4205
O13 O 0.3633 0.6610 0.6378
O14 O 0.3743 0.5112 0.8019
O15 O 0.3872 0.1174 0.3569
O16 O 0.3909 0.9317 0.7046
O17 O 0.4253 0.4416 0.3176
O18 O 0.4887 0.2329 0.7523
# Magnetization in μB/f.u.: 1.00



Entry b
# PBE NaCuP3O9, relaxed
data_NaCuP3O9
_chemical_formula_sum 'Na4 Cu4 P12 O36'
_symmetry_space_group_name_H-M 'P 21 21 21'
_symmetry_Int_Tables_number 19
_symmetry_space_group_name_Hall 'P 2ac 2ab'
_cell_length_a 8.4192
_cell_length_b 8.9929
_cell_length_c 9.0650
_cell_angle_alpha 90.00
_cell_angle_beta 90.00
_cell_angle_gamma 90.00
loop_
_atom_site_label
_atom_site_type_symbol
_atom_site_fract_x
_atom_site_fract_y
_atom_site_fract_z
Na1 Na 0.1225 0.0773 0.1077
Cu1 Cu 0.0988 0.8612 0.3838
P1 P 0.0478 0.6755 0.0479
P2 P 0.0611 0.0597 0.7312
P3 P 0.2268 0.5761 0.5647
O1 O 0.0230 0.1947 0.6169
O2 O 0.0604 0.0783 0.3587
O3 O 0.0846 0.8261 0.1078
O4 O 0.1107 0.9254 0.6456
O5 O 0.1122 0.5290 0.6982
O6 O 0.1306 0.6452 0.4416
O7 O 0.1358 0.3334 0.1228
O8 O 0.1675 0.1186 0.8521
O9 O 0.2124 0.5851 0.0134
# Magnetization in μB/f.u.: 1.00



Energetically preferred structure: entry b | next structure: +0.7 kJ/mol of atoms



Entry a
# PBE Rb2NbCuSe4, relaxed
data_Rb2NbCuSe4
_chemical_formula_sum 'Rb16 Nb8 Cu8 Se32'
_symmetry_space_group_name_H-M 'F d d d'
_symmetry_Int_Tables_number 70
_cell_length_a 5.8022
_cell_length_b 14.2776
_cell_length_c 25.1695
_cell_angle_alpha 90.00
_cell_angle_beta 90.00
_cell_angle_gamma 90.00
loop_
_symmetry_equiv_pos_as_xyz
'x,y,z'
'-x,-y,-z'
'-x+1/4,-y+1/4,z'
'x+1/4,y+1/4,-z'
'x,-y+1/4,-z+1/4'
'-x,y+1/4,z+1/4'
'-x+1/4,y,-z+1/4'
'x+1/4,-y,z+1/4'
'x,y+1/2,z+1/2'
'-x,-y+1/2,-z+1/2'
'-x+1/4,-y+3/4,z+1/2'
'x+1/4,y+3/4,-z+1/2'
'x,-y+3/4,-z+3/4'
'-x,y+3/4,z+3/4'
'-x+1/4,y+1/2,-z+3/4'
'x+1/4,-y+1/2,z+3/4'
'x+1/2,y,z+1/2'
'-x+1/2,-y,-z+1/2'
'-x+3/4,-y+1/4,z+1/2'
'x+3/4,y+1/4,-z+1/2'
'x+1/2,-y+1/4,-z+3/4'
'-x+1/2,y+1/4,z+3/4'
'-x+3/4,y,-z+3/4'
'x+3/4,-y,z+3/4'
'x+1/2,y+1/2,z'
'-x+1/2,-y+1/2,-z'
'-x+3/4,-y+3/4,z'
'x+3/4,y+3/4,-z'
'x+1/2,-y+3/4,-z+1/4'
'-x+1/2,y+3/4,z+1/4'
'-x+3/4,y+1/2,-z+1/4'
'x+3/4,-y+1/2,z+1/4'
loop_
_atom_site_label
_atom_site_type_symbol
_atom_site_fract_x
_atom_site_fract_y
_atom_site_fract_z
Rb1 Rb 0.1250 0.1250 0.3038
Nb1 Nb 0.1250 0.1250 0.1250
Cu1 Cu 0.1250 0.1250 0.6250
Se1 Se 0.1207 0.2766 0.4302
# Magnetization in μB/f.u.: 0.00



Entry b
# PBE Rb2NbCuSe4, relaxed
data_Rb2NbCuSe4
_chemical_formula_sum 'Rb4 Nb2 Cu2 Se8'
_symmetry_space_group_name_H-M 'P 1'
_symmetry_Int_Tables_number 1
_symmetry_space_group_name_Hall 'P 1'
_cell_length_a 5.8022
_cell_length_b 7.7058
_cell_length_c 12.9148
_cell_angle_alpha 85.15
_cell_angle_beta 77.02
_cell_angle_gamma 67.88
loop_
_atom_site_label
_atom_site_type_symbol
_atom_site_fract_x
_atom_site_fract_y
_atom_site_fract_z
Rb1 Rb 0.0000 0.0000 0.0000
Rb2 Rb 0.1204 0.4982 0.7860
Rb3 Rb 0.3696 0.9909 0.2843
Rb4 Rb 0.7585 0.4921 0.5054
Nb1 Nb 0.1867 0.9889 0.6457
Nb2 Nb 0.9322 0.4900 0.1454
Cu1 Cu 0.4279 0.4973 0.1479
Cu2 Cu 0.6769 0.0005 0.6437
Se1 Se 0.0324 0.6855 0.2548
Se2 Se 0.0923 0.8000 0.5303
Se3 Se 0.3366 0.2921 0.0352
Se4 Se 0.3849 0.1969 0.5371
Se5 Se 0.4661 0.7995 0.7580
Se6 Se 0.6509 0.6964 0.0330
Se7 Se 0.7343 0.3029 0.2572
Se8 Se 0.7895 0.1885 0.7517
# Magnetization in μB/f.u.: 0.00



Energetically preferred structure: entry a | next structure: +0.7 kJ/mol of atoms